Record 1
Compound: EuMg2Sb2
Source: the Materials Project
Functional: PBE
Structure: optimized geometry

Summary:
ΔE_f in eV/atom: -0.817
Uncorrected energy in eV for the cell shown: -25.4
Space group: No. 164

Unit cell a=4.7426 b=4.7426 c=7.7369 alpha=90.00 beta=90.00 gamma=120.00
Sites, in units of the cell vectors:
Eu: 0.0000 0.0000 0.0000
Sb: 0.6667 0.3333 0.7492
Mg: 0.6667 0.3333 0.3694
Mg: 0.3333 0.6667 0.6306
Sb: 0.3333 0.6667 0.2508



Record 2
Compound: Na3H5Se4O16
Source: the Materials Project
Functional: PBE
Structure: optimized geometry

Summary:
ΔE_f in eV/atom: -1.374
Uncorrected energy in eV for the cell shown: -141.6
Magnetic moment in μB/atom: 0.00
Space group: No. 2

Unit cell a=6.0276 b=7.3946 c=9.2099 alpha=105.37 beta=92.09 gamma=105.82
Sites, in units of the cell vectors:
O: 0.5562 0.8559 0.4360
O: 0.2636 0.5172 0.4404
O: 0.9669 0.1699 0.3106
O: 0.1179 0.6774 0.9201
O: 0.4239 0.5628 0.1716
Se: 0.3308 0.6732 0.3258
O: 0.2611 0.0794 0.9649
Na: 0.0000 0.0000 0.5000
Se: 0.2070 0.8578 0.8427
O: 0.1082 0.7568 0.3032
O: 0.8821 0.3226 0.0799
Na: 0.1923 0.3701 0.9191
O: 0.4696 0.8441 0.7701
Se: 0.7930 0.1422 0.1573
H: 0.5853 0.8752 0.8620
O: 0.7364 0.4828 0.5596
Na: 0.8077 0.6299 0.0809
O: 0.0331 0.8301 0.6894
O: 0.5761 0.4372 0.8284
H: 0.8526 0.6124 0.6209
O: 0.5304 0.1559 0.2299
O: 0.8918 0.2432 0.6968
H: 0.4147 0.1248 0.1380
Se: 0.6692 0.3268 0.6742
H: 0.5000 0.0000 0.5000
O: 0.4438 0.1441 0.5640
O: 0.7389 0.9206 0.0351
H: 0.1474 0.3876 0.3791



Record 3
Compound: K2Sb4O11
Source: the Materials Project
Functional: PBE
Structure: optimized geometry

Summary:
ΔE_f in eV/atom: -1.975
Uncorrected energy in eV for the cell shown: -198.4
Space group: No. 12

Unit cell a=10.6107 b=10.6107 c=7.2915 alpha=85.19 beta=85.19 gamma=42.38
Sites, in units of the cell vectors:
O: 0.0254 0.4468 0.3321
Sb: 0.4241 0.4241 0.6163
O: 0.6669 0.6669 0.4900
O: 0.1602 0.1602 0.6494
K: 0.2398 0.2398 0.9970
Sb: 0.5759 0.5759 0.3837
O: 0.4315 0.8275 0.8132
O: 0.4468 0.0254 0.3321
O: 0.5685 0.1725 0.1868
O: 0.8275 0.4315 0.8132
O: 0.1725 0.5685 0.1868
O: 0.3274 0.6726 0.0000
O: 0.3331 0.3331 0.5100
K: 0.7602 0.7602 0.0030
O: 0.9746 0.5532 0.6679
Sb: 0.5831 0.0678 0.4350
O: 0.3814 0.3814 0.8672
Sb: 0.5718 0.5718 0.9030
O: 0.5234 0.5234 0.6550
Sb: 0.9322 0.4169 0.5650
O: 0.8398 0.8398 0.3506
O: 0.6681 0.1557 0.5687
Sb: 0.4169 0.9322 0.5650
O: 0.4766 0.4766 0.3450
K: 0.9892 0.9892 0.2611
O: 0.8443 0.3319 0.4313
O: 0.5532 0.9746 0.6679
O: 0.6186 0.6186 0.1328
K: 0.0108 0.0108 0.7389
O: 0.6726 0.3274 0.0000
Sb: 0.0678 0.5831 0.4350
Sb: 0.4282 0.4282 0.0970
O: 0.3319 0.8443 0.4313
O: 0.1557 0.6681 0.5687



Record 4
Compound: LaIn5Co
Source: the Materials Project
Functional: PBE
Structure: optimized geometry

Summary:
ΔE_f in eV/atom: -0.272
Uncorrected energy in eV for the cell shown: -27.7
Space group: No. 123

Unit cell a=4.6670 b=4.6670 c=7.6889 alpha=90.00 beta=90.00 gamma=90.00
Sites, in units of the cell vectors:
La: 0.0000 0.0000 0.0000
In: 0.5000 0.0000 0.6882
In: 0.0000 0.5000 0.6882
In: 0.5000 0.0000 0.3118
Co: 0.0000 0.0000 0.5000
In: 0.5000 0.5000 0.0000
In: 0.0000 0.5000 0.3118



Record 5
Compound: Tb4MgCo
Source: the Materials Project
Functional: PBE
Structure: optimized geometry

Summary:
ΔE_f in eV/atom: -0.146
Uncorrected energy in eV for the cell shown: -112.5
Space group: No. 216

Unit cell a=9.5991 b=9.5991 c=9.5991 alpha=60.00 beta=60.00 gamma=60.00
Sites, in units of the cell vectors:
Tb: 0.8134 0.8134 0.1866
Tb: 0.3446 0.3446 0.9662
Tb: 0.9368 0.9368 0.5632
Tb: 0.5632 0.9368 0.9368
Tb: 0.1866 0.8134 0.1866
Co: 0.1406 0.1406 0.1406
Mg: 0.5791 0.2628 0.5791
Tb: 0.5632 0.5632 0.9368
Tb: 0.1866 0.1866 0.8134
Tb: 0.3446 0.9662 0.3446
Tb: 0.1866 0.8134 0.8134
Tb: 0.8134 0.1866 0.8134
Tb: 0.8134 0.1866 0.1866
Mg: 0.2628 0.5791 0.5791
Tb: 0.9368 0.5632 0.5632
Co: 0.1406 0.1406 0.5781
Tb: 0.9368 0.5632 0.9368
Mg: 0.5791 0.5791 0.5791
Tb: 0.5632 0.9368 0.5632
Co: 0.1406 0.5781 0.1406
Mg: 0.5791 0.5791 0.2628
Tb: 0.3446 0.3446 0.3446
Tb: 0.9662 0.3446 0.3446
Co: 0.5781 0.1406 0.1406



Record 6
Compound: KB5H8O12
Source: the Materials Project
Functional: PBE
Structure: optimized geometry

Summary:
Relative energy among the computed polymorphs in eV per formula unit: 0.71
ΔE_f in eV/atom: -2.100
Uncorrected energy in eV for the cell shown: -334.8
Magnetic moment in μB/atom: 0.00
Space group: No. 41

Unit cell a=7.4376 b=7.4376 c=10.8018 alpha=90.00 beta=90.00 gamma=94.34
Sites, in units of the cell vectors:
B: 0.9296 0.0666 0.7078
O: 0.3933 0.0781 0.5000
B: 0.2428 0.4253 0.1997
O: 0.5781 0.8933 0.0000
O: 0.4022 0.4339 0.2704
H: 0.8359 0.4296 0.2507
O: 0.9279 0.5810 0.7607
K: 0.0796 0.0796 0.0000
B: 0.9253 0.7428 0.6997
H: 0.7729 0.5232 0.0265
O: 0.4279 0.0810 0.7393
B: 0.4296 0.5666 0.7922
H: 0.4357 0.1599 0.4344
O: 0.4248 0.5763 0.9182
O: 0.5763 0.4248 0.0818
H: 0.4253 0.0928 0.6460
H: 0.9357 0.6599 0.0656
O: 0.9339 0.9022 0.7704
H: 0.2729 0.0232 0.4735
O: 0.9086 0.7480 0.5748
B: 0.5666 0.4296 0.2078
B: 0.9132 0.9132 0.5000
B: 0.7428 0.9253 0.3003
H: 0.3359 0.9296 0.2493
O: 0.5810 0.9279 0.2393
H: 0.9296 0.3359 0.7507
O: 0.0810 0.4279 0.2607
O: 0.4339 0.4022 0.7296
B: 0.0666 0.9296 0.2922
H: 0.1599 0.4357 0.5656
O: 0.4086 0.2480 0.9252
O: 0.9248 0.0763 0.5818
H: 0.5928 0.9253 0.1460
O: 0.9022 0.9339 0.2296
K: 0.5796 0.5796 0.5000
O: 0.0763 0.9248 0.4182
O: 0.2131 0.9343 0.2148
O: 0.2480 0.4086 0.0748
H: 0.5232 0.7729 0.9735
B: 0.4253 0.2428 0.8003
B: 0.4132 0.4132 0.0000
O: 0.7480 0.9086 0.4252
H: 0.0232 0.2729 0.5265
O: 0.9343 0.2131 0.7852
H: 0.4296 0.8359 0.7493
H: 0.6599 0.9357 0.9344
H: 0.9253 0.5928 0.8540
O: 0.4343 0.7131 0.7148
O: 0.7131 0.4343 0.2852
H: 0.0928 0.4253 0.3540
O: 0.8933 0.5781 0.0000
O: 0.0781 0.3933 0.5000



Record 7
Compound: RbLiMg6
Source: the Materials Project
Functional: PBE
Structure: optimized geometry

Summary:
Relative energy among the computed polymorphs in eV per formula unit: 0.02
ΔE_f in eV/atom: 0.218
Uncorrected energy in eV for the cell shown: -21.5
Magnetic moment in μB/atom: 0.00

Unit cell a=5.4169 b=6.4747 c=12.6866 alpha=90.00 beta=90.00 gamma=90.00
Sites, in units of the cell vectors:
Mg: 0.5000 0.7463 0.9271
Mg: 0.0000 0.5000 0.8197
Mg: 0.0000 0.2407 0.0634
Mg: 0.0000 0.0000 0.3197
Mg: 0.5000 0.2537 0.9271
Mg: 0.5000 0.2463 0.4271
Mg: 0.0000 0.2593 0.5634
Rb: 0.5000 0.5000 0.1845
Mg: 0.0000 0.7407 0.5634
Mg: 0.0000 0.0000 0.8521
Mg: 0.0000 0.5000 0.3521
Li: 0.5000 0.0000 0.1627
Mg: 0.5000 0.7537 0.4271
Mg: 0.0000 0.7593 0.0634
Li: 0.5000 0.5000 0.6627
Rb: 0.5000 0.0000 0.6845



Record 8
Compound: Mn4Ge6Ir7
Source: the Materials Project
Functional: PBE
Structure: optimized geometry

Summary:
ΔE_f in eV/atom: -0.225
Uncorrected energy in eV for the cell shown: -130.1
Magnetic moment in μB/atom: 1.01
Space group: No. 229

Unit cell a=6.9948 b=6.9948 c=6.9948 alpha=109.47 beta=109.47 gamma=109.47
Sites, in units of the cell vectors:
Ge: 0.6939 0.6939 0.0000
Ir: 0.5000 0.7500 0.2500
Ir: 0.7500 0.5000 0.2500
Ge: 0.3061 0.3061 0.0000
Ir: 0.2500 0.5000 0.7500
Ir: 0.0000 0.0000 0.0000
Ge: 0.3061 0.0000 0.3061
Ge: 0.0000 0.6939 0.6939
Mn: 0.0000 0.5000 0.0000
Mn: 0.5000 0.0000 0.0000
Ir: 0.2500 0.7500 0.5000
Ge: 0.0000 0.3061 0.3061
Ir: 0.5000 0.2500 0.7500
Mn: 0.0000 0.0000 0.5000
Ge: 0.6939 0.0000 0.6939
Ir: 0.7500 0.2500 0.5000
Mn: 0.5000 0.5000 0.5000



Record 9
Compound: Na5Al3GeP6O24
Source: the Materials Project
Functional: PBE
Structure: optimized geometry

Summary:
ΔE_f in eV/atom: -2.781
Uncorrected energy in eV for the cell shown: -797.0
Magnetic moment in μB/atom: 0.00
Space group: No. 1

Unit cell a=8.5257 b=8.5192 c=21.5870 alpha=89.98 beta=89.99 gamma=120.01
Sites, in units of the cell vectors:
O: 0.0344 0.8274 0.6912
O: 0.1641 0.9747 0.9088
O: 0.0369 0.2072 0.1909
O: 0.5067 0.8739 0.3583
O: 0.7897 0.9604 0.6920
O: 0.2016 0.1693 0.8085
O: 0.5196 0.8254 0.7575
O: 0.9720 0.1614 0.5916
O: 0.4615 0.1663 0.5250
O: 0.5021 0.1305 0.6398
O: 0.0235 0.8351 0.4091
O: 0.1717 0.6880 0.7573
O: 0.8338 0.8102 0.5907
O: 0.1864 0.0223 0.5911
O: 0.7928 0.8302 0.1909
P: 0.2883 0.2827 0.7509
O: 0.1598 0.6972 0.4756
O: 0.8304 0.2910 0.5268
O: 0.1443 0.5054 0.5756
O: 0.8338 0.0238 0.0904
Na: 0.0063 0.9991 0.9965
Al: 0.6610 0.3282 0.6850
P: 0.0000 0.2875 0.2502
P: 0.0442 0.3750 0.9180
O: 0.8365 0.7981 0.3058
O: 0.5054 0.1465 0.9238
Na: 0.0006 0.6357 0.2523
O: 0.8332 0.0363 0.8068
O: 0.5063 0.3597 0.4234
Na: 0.9997 0.3630 0.7498
O: 0.5363 0.6967 0.9755
P: 0.3303 0.9554 0.9179
P: 0.9580 0.3337 0.5837
O: 0.1668 0.9613 0.1927
Na: 0.6601 0.3262 0.8343
O: 0.8118 0.9763 0.4090
P: 0.7127 0.7128 0.2502
P: 0.6251 0.6695 0.9179
Na: 0.6376 0.6344 0.7497
O: 0.3022 0.4651 0.4737
Na: 0.6663 0.3333 0.3374
O: 0.1647 0.1883 0.4087
P: 0.6618 0.0432 0.0837
O: 0.0246 0.1892 0.9092
O: 0.2035 0.0390 0.3066
O: 0.3678 0.4924 0.3573
O: 0.1608 0.4635 0.9755
Na: 0.6345 0.9998 0.2523
O: 0.6337 0.5045 0.6425
Na: 0.6659 0.6989 0.0822
O: 0.8736 0.3711 0.6417
P: 0.3775 0.0482 0.5833
P: 0.3769 0.3290 0.0835
Ge: 0.6643 0.3324 0.4785
O: 0.6921 0.1707 0.7422
O: 0.3574 0.5007 0.0762
O: 0.5373 0.8406 0.4756
O: 0.6413 0.1472 0.4235
O: 0.6901 0.5204 0.2417
O: 0.8528 0.4935 0.4239
O: 0.4985 0.3701 0.1412
O: 0.4635 0.2962 0.0255
O: 0.7084 0.1710 0.0265
P: 0.6241 0.9558 0.4172
O: 0.1859 0.1639 0.0908
O: 0.4815 0.3139 0.7426
O: 0.4970 0.6446 0.5759
O: 0.1664 0.2062 0.6937
O: 0.4794 0.1695 0.2419
O: 0.6332 0.1285 0.1420
Na: 0.0321 0.7002 0.5822
O: 0.8306 0.3104 0.2420
P: 0.0441 0.6679 0.4173
O: 0.9722 0.8107 0.0910
Al: 0.3333 0.6665 0.3200
O: 0.9639 0.7988 0.8067
O: 0.8347 0.5220 0.7430
Al: 0.0062 0.0056 0.6478
O: 0.8107 0.8361 0.9089
Na: 0.3326 0.6726 0.1659
P: 0.6618 0.6185 0.5838
Na: 0.0320 0.3317 0.0824
O: 0.4970 0.8522 0.0758
Na: 0.6655 0.9673 0.5821
Al: 0.0049 0.9991 0.1480
O: 0.6412 0.4946 0.9236
P: 0.2871 0.9998 0.2505
O: 0.3737 0.8766 0.8587
O: 0.9616 0.1634 0.3058
O: 0.3103 0.4805 0.7574
O: 0.1440 0.6385 0.0755
O: 0.8735 0.5027 0.1412
P: 0.9582 0.6246 0.0834
O: 0.1257 0.6323 0.3583
P: 0.3316 0.3764 0.4169
Ge: 0.3341 0.6725 0.8172
Al: 0.0008 0.0003 0.3568
O: 0.8535 0.3594 0.9239
P: 0.0033 0.7164 0.7504
O: 0.5043 0.6287 0.8581
O: 0.7084 0.5377 0.5268
Na: 0.0065 0.0071 0.4969
Al: 0.3326 0.6615 0.5164
Al: 0.3326 0.6718 0.0169
O: 0.3569 0.8564 0.5759
Ge: 0.6649 0.3319 0.9781
Na: 0.3647 0.3649 0.2525
O: 0.3015 0.8372 0.9742
O: 0.1241 0.4956 0.8581
P: 0.7111 0.0014 0.7506
O: 0.1690 0.4798 0.2568
Na: 0.3333 0.6663 0.6652
Al: 0.0021 0.0009 0.8545
O: 0.8302 0.5389 0.0265
O: 0.3110 0.8309 0.2573
O: 0.5205 0.6895 0.2568
Al: 0.6659 0.3322 0.1846



Record 10
Compound: Li3BiS3
Source: the Materials Project
Functional: PBE
Structure: optimized geometry

Summary:
Relative energy among the computed polymorphs in eV per formula unit: 0.35
ΔE_f in eV/atom: -1.134
Uncorrected energy in eV for the cell shown: -227.6
Magnetic moment in μB/atom: 0.00
Space group: No. 2

Unit cell a=11.0459 b=11.2056 c=12.3126 alpha=113.70 beta=108.77 gamma=88.01
Sites, in units of the cell vectors:
Li: 0.8412 0.3736 0.6512
S: 0.9523 0.4746 0.2684
S: 0.8895 0.3428 0.8598
Li: 0.4227 0.5736 0.6221
Li: 0.4885 0.1336 0.1080
S: 0.7109 0.6107 0.0423
Bi: 0.8440 0.8312 0.1432
Li: 0.8972 0.0814 0.5005
S: 0.8841 0.8504 0.3641
Li: 0.6835 0.8524 0.4087
S: 0.3590 0.5237 0.3679
S: 0.2877 0.3424 0.5408
S: 0.6937 0.0858 0.5388
S: 0.5269 0.2662 0.7615
S: 0.7123 0.6576 0.4592
Bi: 0.7521 0.6963 0.6858
Li: 0.3178 0.5438 0.1696
S: 0.1105 0.6572 0.1402
S: 0.0477 0.5254 0.7316
Li: 0.1028 0.9186 0.4995
Li: 0.4851 0.7480 0.4607
S: 0.3886 0.6636 0.8418
Li: 0.7201 0.5486 0.2165
Li: 0.6822 0.4562 0.8304
S: 0.6397 0.9574 0.1173
S: 0.6114 0.3364 0.1582
Li: 0.9278 0.6629 0.4483
Bi: 0.2794 0.8617 0.2341
S: 0.5581 0.8249 0.6990
Li: 0.6598 0.1080 0.3354
Li: 0.2799 0.4514 0.7835
S: 0.4731 0.7338 0.2385
S: 0.1159 0.1496 0.6359
S: 0.6410 0.4763 0.6321
Li: 0.5773 0.4264 0.3779
Li: 0.0901 0.4969 0.9247
Li: 0.3402 0.8920 0.6646
Li: 0.5115 0.8664 0.8920
Li: 0.5149 0.2520 0.5393
S: 0.4419 0.1751 0.3010
S: 0.3063 0.9142 0.4612
Li: 0.9099 0.5031 0.0753
Li: 0.4730 0.2625 0.9360
Li: 0.3165 0.1476 0.5913
S: 0.3603 0.0426 0.8827
Bi: 0.7206 0.1383 0.7659
Bi: 0.1703 0.7487 0.7971
S: 0.8550 0.2528 0.4170
Bi: 0.8297 0.2513 0.2029
Li: 0.5270 0.7375 0.0640
Li: 0.0722 0.3371 0.5517
Bi: 0.1560 0.1688 0.8568
S: 0.2891 0.3893 0.9577
S: 0.1450 0.7472 0.5830
Li: 0.1588 0.6264 0.3488
Bi: 0.2479 0.3037 0.3142